Tm2MgIn r²SCAN relaxed; formation energy from the elements = -1.4 eV/f.u.; space-group type = No. 225
1.0
-1.7538 -4.7652 1.2093
-0.1638 -1.5329 4.9868
-4.5966 -0.5554 2.4100
Tm Mg In
2 1 1
direct
0.0000 0.0000 0.0000
0.5000 0.5000 0.5000
0.7500 0.7500 0.7500
0.2500 0.2500 0.2500

***

K4Mn3F12 r²SCAN relaxed; formation energy from the elements = -57.3 eV/f.u.; space-group type = No. 141
1.0
-4.1554 4.1556 8.1174
4.1556 -4.1554 8.1174
4.1554 4.1554 -8.1173
K Mn F
8 6 24
direct
0.8750 0.4025 0.0275
0.1525 0.6250 0.0275
0.5975 0.1250 0.9725
0.3750 0.8475 0.9725
0.8750 0.8475 0.4725
0.5975 0.6250 0.4725
0.3750 0.4025 0.5275
0.1525 0.1250 0.5275
0.7500 0.2500 0.5000
0.0000 0.0000 0.0000
0.2443 0.2443 0.0000
0.9942 0.4942 0.5000
0.5058 0.0058 0.5000
0.7557 0.7557 0.0000
0.6406 0.6406 0.0000
0.3907 0.8907 0.5000
0.1093 0.6093 0.5000
0.3594 0.3594 0.0000
0.8739 0.8739 0.0000
0.6240 0.1240 0.5000
0.8760 0.3760 0.5000
0.1261 0.1261 0.0000
0.5352 0.7571 0.7780
0.2429 0.0209 0.7780
0.2429 0.4648 0.2220
0.2147 0.4928 0.7219
0.7709 0.4928 0.2781
0.5072 0.2291 0.7219
0.9918 0.2450 0.7468
0.9947 0.7479 0.7532
0.9947 0.2415 0.2468
0.7585 0.0053 0.7532
0.2521 0.0053 0.2468
0.7550 0.5018 0.7468
0.7550 0.0082 0.2532
0.4982 0.2450 0.2532
0.9791 0.7571 0.2220
0.5072 0.7853 0.2781

***

Na5AlO4 r²SCAN relaxed; formation energy from the elements = -20.2 eV/f.u.; space-group type = No. 61
1.0
-4.9166 1.8524 -2.5972
-0.5146 -8.6090 -5.1661
-9.6230 -7.2524 13.0442
Na Al O
40 8 32
direct
0.1069 0.3275 0.1728
0.6069 0.6725 0.3272
0.3931 0.8275 0.8272
0.8931 0.1725 0.6728
0.8931 0.6725 0.8272
0.3931 0.3275 0.6728
0.6069 0.1725 0.1728
0.1069 0.8275 0.3272
0.1053 0.5842 0.2500
0.6053 0.4158 0.2500
0.3947 0.0842 0.7500
0.8947 0.9158 0.7500
0.8947 0.4158 0.7500
0.3947 0.5842 0.7500
0.6053 0.9158 0.2500
0.1053 0.0842 0.2500
0.0845 0.1620 0.4986
0.5845 0.8380 0.0014
0.4155 0.6620 0.5014
0.9155 0.3380 0.9986
0.9155 0.8380 0.5014
0.4155 0.1620 0.9986
0.5845 0.3380 0.4986
0.0845 0.6620 0.0014
0.9173 0.3011 0.3618
0.4132 0.4406 0.0646
0.5868 0.0594 0.5646
0.0868 0.9406 0.9354
0.0868 0.4406 0.5646
0.5868 0.5594 0.9354
0.4132 0.9406 0.4354
0.9132 0.0594 0.0646
0.9173 0.8011 0.1382
0.4173 0.1989 0.3618
0.5827 0.3011 0.8618
0.0827 0.6989 0.6382
0.0827 0.1989 0.8618
0.5827 0.8011 0.6382
0.4173 0.6989 0.1382
0.9132 0.5594 0.4354
0.3223 0.4606 0.3757
0.8223 0.5394 0.1243
0.1777 0.9606 0.6243
0.6777 0.0394 0.8757
0.6777 0.5394 0.6243
0.1777 0.4606 0.8757
0.8223 0.0394 0.3757
0.3223 0.9606 0.1243
0.6231 0.4526 0.3803
0.1231 0.5474 0.1197
0.8769 0.9526 0.6197
0.3769 0.0474 0.8803
0.3769 0.5474 0.6197
0.8769 0.4526 0.8803
0.1231 0.0474 0.3803
0.6231 0.9526 0.1197
0.2339 0.3774 0.2912
0.7339 0.6226 0.2088
0.2661 0.8774 0.7088
0.2369 0.1309 0.1263
0.7661 0.6226 0.7088
0.2661 0.3774 0.7912
0.7339 0.1226 0.2912
0.2339 0.8774 0.2088
0.1967 0.3730 0.4516
0.6967 0.6270 0.0484
0.3033 0.8730 0.5484
0.8033 0.1270 0.9516
0.8033 0.6270 0.5484
0.3033 0.3730 0.9516
0.6967 0.1270 0.4516
0.1967 0.8730 0.0484
0.2369 0.6309 0.3737
0.7369 0.3691 0.1263
0.2631 0.1309 0.6263
0.7631 0.8691 0.8737
0.7631 0.3691 0.6263
0.2631 0.6309 0.8737
0.7369 0.8691 0.3737
0.7661 0.1226 0.7912

***

KFeF4 r²SCAN relaxed; formation energy from the elements = -16.7 eV/f.u.; space-group type = No. 63
1.0
3.9486 0.0000 0.0000
-1.9743 6.0108 0.0000
0.0000 0.0000 7.6515
K Fe F
2 2 8
direct
0.7292 0.4584 0.7500
0.2708 0.5416 0.2500
0.0000 0.0000 0.0000
0.0000 0.0000 0.5000
0.1526 0.3052 0.5531
0.8474 0.6948 0.4469
0.8474 0.6948 0.0531
0.1526 0.3052 0.9469
0.5000 0.0000 0.0000
0.5000 0.0000 0.5000
0.9588 0.9176 0.7500
0.0412 0.0824 0.2500

***

Sm3Pt4 r²SCAN relaxed; formation energy from the elements = -8.8 eV/f.u.; space-group type = No. 148
1.0
-3.2056 -1.5721 -4.5191
-5.3257 3.0407 5.1667
5.1106 5.3752 -3.0485
Sm Pt
6 8
direct
0.4049 0.1227 0.3752
0.0297 0.6248 0.7475
0.2822 0.2525 0.8773
0.5951 0.8773 0.6248
0.9703 0.3752 0.2525
0.7178 0.7475 0.1227
0.0000 0.0000 0.0000
0.5000 0.0000 0.0000
0.2233 0.6671 0.1644
0.0589 0.8356 0.5028
0.5562 0.4972 0.3329
0.7767 0.3329 0.8356
0.9411 0.1644 0.4972
0.4438 0.5028 0.6671

***

TbSi2Ru2 r²SCAN relaxed; formation energy from the elements = -4.9 eV/f.u.; space-group type = No. 139
1.0
3.8716 0.0000 -1.5444
-0.6161 3.8222 -1.5444
-0.0054 -0.0063 5.6115
Tb Si Ru
1 2 2
direct
0.0000 0.0000 0.0000
0.6328 0.6328 0.2656
0.3672 0.3672 0.7344
0.7500 0.2500 0.5000
0.2500 0.7500 0.5000

***

Ho3Te3N r²SCAN relaxed; formation energy from the elements = -12.5 eV/f.u.; space-group type = No. 14
1.0
11.9132 0.0000 0.0000
0.0000 8.0675 -0.0139
0.0000 2.7871 8.1395
Ho Te N
12 12 4
direct
0.0227 0.6015 0.1375
0.5227 0.3985 0.3625
0.9773 0.3985 0.8625
0.4773 0.6015 0.6375
0.4124 0.8386 0.2062
0.9124 0.1614 0.2938
0.5876 0.1614 0.7938
0.0876 0.8386 0.7062
0.7086 0.7658 0.3474
0.2086 0.2342 0.1526
0.2914 0.2342 0.6526
0.7914 0.7658 0.8474
0.9798 0.7773 0.4138
0.4798 0.2227 0.0862
0.0202 0.2227 0.5862
0.5202 0.7773 0.9138
0.2663 0.5081 0.3114
0.7663 0.4919 0.1886
0.7337 0.4919 0.6886
0.2337 0.5081 0.8114
0.3076 0.9542 0.4825
0.8076 0.0458 0.0175
0.6924 0.0458 0.5175
0.1924 0.9542 0.9825
0.5347 0.6727 0.3770
0.0347 0.3273 0.1230
0.4653 0.3273 0.6230
0.9653 0.6727 0.8770

***

DySiIr r²SCAN relaxed; formation energy from the elements = -3.5 eV/f.u.; space-group type = No. 62
1.0
4.2272 0.0000 0.0000
0.0000 6.8599 0.0000
0.0000 0.0000 7.3689
Dy Si Ir
4 4 4
direct
0.7500 0.5015 0.1867
0.2500 0.9985 0.6867
0.7500 0.0015 0.3133
0.2500 0.4985 0.8133
0.2500 0.8000 0.1098
0.2500 0.3000 0.3902
0.7500 0.2000 0.8902
0.7500 0.7000 0.6098
0.2500 0.6559 0.4325
0.2500 0.1559 0.0675
0.7500 0.8441 0.9325
0.7500 0.3441 0.5675

***

TbCoC2 r²SCAN relaxed; formation energy from the elements = -1.6 eV/f.u.; space-group type = No. 38
1.0
-0.0561 -0.1242 3.5880
-1.8466 -3.2422 -0.1411
3.6332 -0.8609 0.0270
Tb Co C
1 1 2
direct
0.0000 0.0039 0.9961
0.5000 0.6193 0.3807
0.5000 0.1571 0.5353
0.5000 0.4647 0.8429

***

Li3Ni11As7 r²SCAN relaxed; formation energy from the elements = -8.8 eV/f.u.; space-group type = No. 6
1.0
0.0000 0.0000 -3.6952
-4.6165 -8.0452 0.0000
-4.6496 8.0642 0.0000
Li Ni As
3 11 7
direct
0.5000 0.3299 0.6658
0.0000 0.6695 0.3383
0.5000 0.1205 0.9019
0.0000 0.8822 0.7208
0.0000 0.2840 0.1632
0.0000 0.8323 0.1194
0.5000 0.9539 0.5693
0.5000 0.4308 0.3852
0.5000 0.6159 0.0430
0.0000 0.3808 0.9499
0.0000 0.0519 0.4278
0.0000 0.5673 0.6197
0.5000 0.0918 0.2113
0.5000 0.7870 0.8819
0.5000 0.7098 0.5893
0.5000 0.4231 0.1284
0.5000 0.8775 0.2918
0.0000 0.9964 0.0042
0.0000 0.1261 0.7027
0.0000 0.2903 0.4163
0.0000 0.5790 0.8698

***

GdSiPd r²SCAN relaxed; formation energy from the elements = -2.7 eV/f.u.; space-group type = No. 12
1.0
2.1419 5.1580 -0.0256
-2.1419 5.1580 -0.0256
0.0000 4.8238 5.2126
Gd Si Pd
2 2 2
direct
0.4526 0.4526 0.3092
0.5474 0.5474 0.6908
0.1528 0.1528 0.8988
0.8472 0.8472 0.1012
0.8148 0.8148 0.7470
0.1852 0.1852 0.2530

***

Rb2Be2O3 r²SCAN relaxed; formation energy from the elements = -16.0 eV/f.u.; space-group type = No. 62
1.0
-2.6458 -3.5912 -2.9588
5.5940 0.3316 -5.4047
5.1710 -7.8236 4.8720
Rb Be O
8 8 12
direct
0.2500 0.8722 0.0886
0.7500 0.5103 0.1104
0.2500 0.0103 0.3896
0.7500 0.3722 0.4114
0.2500 0.6278 0.5886
0.7500 0.9897 0.6104
0.2500 0.4897 0.8896
0.7500 0.1278 0.9114
0.2500 0.2789 0.1653
0.7500 0.1085 0.2080
0.2500 0.6085 0.2920
0.7500 0.7789 0.3347
0.2500 0.2211 0.6653
0.7500 0.3915 0.7080
0.2500 0.8915 0.7920
0.7500 0.7211 0.8347
0.2500 0.4773 0.1823
0.9989 0.1808 0.1550
0.5011 0.1808 0.1550
0.0011 0.6808 0.3450
0.4989 0.6808 0.3450
0.7500 0.9773 0.3177
0.2500 0.0227 0.6823
0.9989 0.3192 0.6550
0.5011 0.3192 0.6550
0.4989 0.8192 0.8450
0.0011 0.8192 0.8450
0.7500 0.5227 0.8177

***

These records have size of the total moment values of 0.0 13.0 0.0 5.0 0.0 0.0 0.0 0.0 0.0 0.0 7.2 0.0 μB/f.u., in the order they appear.